# Tb2Mo3O12 (r²SCAN, optimized geometry)
data_Tb2Mo3O12
_chemical_formula_sum 'Tb4 Mo6 O24'
_cell_length_a 7.371
_cell_length_b 7.371
_cell_length_c 10.589
_cell_angle_alpha 90.00
_cell_angle_beta 90.00
_cell_angle_gamma 90.00
_symmetry_space_group_name_H-M 'P 1'
_symmetry_Int_Tables_number 1
_symmetry_space_group_name_Hall 'P 1'
loop_
_atom_site_label
_atom_site_type_symbol
_atom_site_fract_x
_atom_site_fract_y
_atom_site_fract_z
_atom_site_occupancy
Tb1 Tb 0.187 0.687 0.261 1
Tb2 Tb 0.813 0.313 0.261 1
Tb3 Tb 0.687 0.813 0.739 1
Tb4 Tb 0.313 0.187 0.739 1
Mo1 Mo 0.207 0.707 0.644 1
Mo2 Mo 0.793 0.293 0.644 1
Mo3 Mo 0.707 0.793 0.356 1
Mo4 Mo 0.293 0.207 0.356 1
Mo5 Mo 0.000 0.000 0.000 1
Mo6 Mo 0.500 0.500 0.000 1
O1 O 0.195 0.695 0.479 1
O2 O 0.805 0.305 0.479 1
O3 O 0.695 0.805 0.521 1
O4 O 0.305 0.195 0.521 1
O5 O 0.626 0.126 0.690 1
O6 O 0.374 0.874 0.690 1
O7 O 0.126 0.374 0.310 1
O8 O 0.874 0.626 0.310 1
O9 O 0.775 0.004 0.296 1
O10 O 0.225 0.996 0.296 1
O11 O 0.504 0.275 0.296 1
O12 O 0.496 0.725 0.296 1
O13 O 0.004 0.225 0.704 1
O14 O 0.996 0.775 0.704 1
O15 O 0.725 0.504 0.704 1
O16 O 0.275 0.496 0.704 1
O17 O 0.810 0.960 0.904 1
O18 O 0.190 0.040 0.904 1
O19 O 0.460 0.310 0.904 1
O20 O 0.540 0.690 0.904 1
O21 O 0.960 0.190 0.096 1
O22 O 0.040 0.810 0.096 1
O23 O 0.690 0.460 0.096 1
O24 O 0.310 0.540 0.096 1
# SG	P-42_1m
# energy of formation	-46.9	eV per formula unit